(1)
SrMg14CuO16: relaxed, PBE-GGA.

Lattice parameters (Å, degrees): 8.6415 8.6415 4.4052 90.00 90.00 90.00
Space group P4/mmm (No. 123)
Symmetry-distinct sites (fractional):
Sr (0.0000, 0.0000, 0.0000)
Mg (0.0000, 0.2597, 0.5000)
Mg (0.0000, 0.5000, 0.0000)
Mg (0.2534, 0.5000, 0.5000)
Mg (0.2566, 0.2566, 0.0000)
Cu (0.5000, 0.5000, 0.0000)
O (0.0000, 0.0000, 0.5000)
O (0.0000, 0.2717, 0.0000)
O (0.0000, 0.5000, 0.5000)
O (0.2504, 0.2504, 0.5000)
O (0.2524, 0.5000, 0.0000)
O (0.5000, 0.5000, 0.5000)

Summary:
distance to the lowest polymorph of the same formula = 7.4 meV per atom


(2)
SrMgCu2O3: relaxed, PBE-GGA.

Lattice parameters (Å, degrees): 4.0064 11.9544 5.7328 90.00 90.00 90.00
Space group Cmmm (No. 65)
Symmetry-distinct sites (fractional):
Sr (0.0000, 0.0000, 0.0000)
Mg (0.0000, 0.0000, 0.5000)
Cu (0.0000, 0.3305, 0.5000)
O (0.0000, 0.1611, 0.5000)
O (0.0000, 0.5000, 0.5000)

Summary:
distance to the lowest polymorph of the same formula = 712.6 meV per atom


(3)
Sr2MgCu2O4: relaxed, PBE-GGA.

Lattice parameters (Å, degrees): 3.4558 3.1805 24.2362 90.00 90.00 90.00
Space group Amm2 (No. 38)
Symmetry-distinct sites (fractional):
Sr (0.0000, 0.0000, 0.0000)
Sr (0.5000, 0.0000, 0.3659)
Mg (0.0000, 0.0000, 0.2588)
Cu (0.0000, 0.0000, 0.6736)
Cu (0.5000, 0.0000, 0.6008)
O (0.0000, 0.0000, 0.5820)
O (0.0000, 0.0000, 0.8269)
O (0.5000, 0.0000, 0.4615)
O (0.5000, 0.0000, 0.7290)

Summary:
distance to the lowest polymorph of the same formula = 221.3 meV per atom


Summary of energy in hartree per atom
-0.2143 -0.1679 -0.1916
(order as listed above)
Summary of formation energy in eV per atom
-2.819 -1.101 -1.855
(order as listed above)